# 1
The following is a DFT calculation (GGA-PBE) of crystalline CuP4S3Br at its relaxed geometry.

CIF file:
```
data_CuP4S3Br
_cell_length_a 6.5240
_cell_length_b 9.4031
_cell_length_c 15.8363
_cell_angle_alpha 97.52
_cell_angle_beta 97.95
_cell_angle_gamma 106.92
_symmetry_space_group_name_H-M 'P -1'
_symmetry_Int_Tables_number 2
loop_
_symmetry_equiv_pos_as_xyz
'x,y,z'
'-x,-y,-z'
loop_
_atom_site_label
_atom_site_type_symbol
_atom_site_fract_x
_atom_site_fract_y
_atom_site_fract_z
Cu1 Cu 0.9999 0.1080 0.2929
Cu2 Cu 0.3514 0.6588 0.5827
P1 P 0.0135 0.8837 0.3239
P2 P 0.1214 0.1843 0.1737
P3 P 0.1356 0.5667 0.3093
P4 P 0.1405 0.3589 0.0074
P5 P 0.1479 0.4454 0.6200
P6 P 0.1915 0.6845 0.4503
P7 P 0.3475 0.1159 0.0930
P8 P 0.4611 0.3418 0.1846
S1 S 0.0748 0.7335 0.9108
S2 S 0.1336 0.7438 0.2415
S3 S 0.2182 0.9092 0.4441
S4 S 0.2513 0.1717 0.9732
S5 S 0.2748 0.2783 0.6587
S6 S 0.4090 0.4938 0.1047
Br1 Br 0.2561 0.3031 0.4144
Br2 Br 0.3643 0.8806 0.6919
```

---

# 2
The following is a DFT calculation (GGA-PBE) of crystalline Ti5Nb5Ge6 at its relaxed geometry.

CIF file:
```
data_Ti5Nb5Ge6
_cell_length_a 5.3421
_cell_length_b 13.2726
_cell_length_c 7.6733
_cell_angle_alpha 90.00
_cell_angle_beta 90.00
_cell_angle_gamma 90.00
_symmetry_space_group_name_H-M 'A m m 2'
_symmetry_Int_Tables_number 38
loop_
_symmetry_equiv_pos_as_xyz
'x,y,z'
'-x,-y,z'
'-x,y,z'
'x,-y,z'
'x,y+1/2,z+1/2'
'-x,-y+1/2,z+1/2'
'-x,y+1/2,z+1/2'
'x,-y+1/2,z+1/2'
loop_
_atom_site_label
_atom_site_type_symbol
_atom_site_fract_x
_atom_site_fract_y
_atom_site_fract_z
Ti1 Ti 0.0000 0.0000 0.0000
Ti2 Ti 0.0000 0.1274 0.6163
Ti3 Ti 0.5000 0.1283 0.8714
Nb1 Nb 0.2489 0.1665 0.2440
Nb2 Nb 0.5000 0.0000 0.4844
Ge1 Ge 0.0000 0.0000 0.3595
Ge2 Ge 0.0000 0.1912 0.9351
Ge3 Ge 0.5000 0.0000 0.1244
Ge4 Ge 0.5000 0.1940 0.5524
```

---

# 3
# GGA-PBE V4ZnS8, optimized geometry
# * polymorph energy (0 for the lowest one): 76 meV/atom
data_V4ZnS8
_cell_length_a 6.8847
_cell_length_b 6.8847
_cell_length_c 17.1746
_cell_angle_alpha 90.00
_cell_angle_beta 90.00
_cell_angle_gamma 120.00
_symmetry_space_group_name_H-M 'R -3 m'
_symmetry_Int_Tables_number 166
_symmetry_space_group_name_Hall '-R 3 2"'
loop_
_atom_site_label
_atom_site_type_symbol
_atom_site_fract_x
_atom_site_fract_y
_atom_site_fract_z
V1 V 0.0000 0.0000 0.0000
V2 V 0.0000 0.5000 0.5000
Zn1 Zn 0.0000 0.0000 0.5000
S1 S 0.0000 0.0000 0.2456
S2 S 0.0097 0.5049 0.7513

---

no.,total magnetic moment (μB/cell),calculated formation energy (eV per atom)
1,0.0,-0.45
2,0.1,-0.55
3,18.0,-1.04